# MgCN2 PBE relaxed
data_MgCN2
_chemical_formula_sum 'Mg4 C4 N8'
_space_group_name_H-M_alt 'P n a 21'
_space_group_IT_number 33
_space_group_name_Hall 'P 2c -2n'
_cell_length_a 4.427
_cell_length_b 6.444
_cell_length_c 4.430
_cell_angle_alpha 90.00
_cell_angle_beta 90.00
_cell_angle_gamma 90.00
loop_
_atom_site_label
_atom_site_type_symbol
_atom_site_fract_x
_atom_site_fract_y
_atom_site_fract_z
_atom_site_occupancy
Mg1 Mg 0.040 0.123 0.000 1
C1 C 0.049 0.625 0.967 1
N1 N 0.007 0.575 0.630 1
N2 N 0.118 0.178 0.535 1
# - energy relative to the elements (meV/atom) = -228



# Sm3Ga2Sn3 PBE relaxed
data_Sm3Ga2Sn3
_chemical_formula_sum 'Sm12 Ga8 Sn12'
_space_group_name_H-M_alt 'C m c m'
_space_group_IT_number 63
_space_group_name_Hall '-C 2c 2'
_cell_length_a 9.972
_cell_length_b 8.029
_cell_length_c 10.146
_cell_angle_alpha 90.00
_cell_angle_beta 90.00
_cell_angle_gamma 90.00
loop_
_atom_site_label
_atom_site_type_symbol
_atom_site_fract_x
_atom_site_fract_y
_atom_site_fract_z
_atom_site_occupancy
Sm1 Sm 0.000 0.137 0.250 1
Sm2 Sm 0.202 0.500 0.000 1
Ga1 Ga 0.000 0.185 0.543 1
Sn1 Sn 0.000 0.476 0.750 1
Sn2 Sn 0.204 0.208 0.750 1
# - energy relative to the elements (meV/atom) = -688



Quick rundown of final energy, same order as above: -110.8; -151.0 eV for the cell shown